Model A:
The following is a DFT calculation (PBE+U) of a geometry-optimized Mn2ZnO4 structure.

M_tot: 8.0 μB/f.u.

```
Mn2ZnO4
1.0
3.888 -3.949 -2.500
5.739 1.651 -1.136
4.224 -4.675 13.465
Mn Zn O
12 6 24
Cartesian
5.873 -3.515 -0.235
1.675 -1.786 5.062
0.008 -0.003 0.001
6.796 -0.725 0.444
4.063 -4.309 5.478
9.496 -4.869 7.103
4.986 -1.517 6.158
7.995 -3.457 10.065
4.363 -2.102 2.707
7.069 -6.259 9.383
12.190 -5.191 4.764
10.405 -5.994 10.488
3.481 -0.987 -0.672
7.816 -3.087 2.065
8.741 -2.704 -0.766
6.048 -3.889 7.760
6.931 -3.487 4.910
5.127 -4.273 10.589
4.053 -2.918 -0.809
1.106 -1.133 3.153
5.058 0.120 -0.070
1.903 -0.772 0.586
8.018 -2.057 3.851
5.890 -2.281 1.369
8.949 -4.235 5.238
8.515 -1.488 0.893
7.151 -4.678 3.213
6.724 -1.953 -1.112
9.736 -3.891 2.757
7.641 -4.132 0.249
6.223 -2.847 9.582
4.127 -3.084 7.063
6.714 -2.296 6.610
5.349 -5.489 8.939
7.140 -5.031 10.969
4.913 -2.739 4.577
7.975 -4.697 8.461
5.846 -4.920 5.971
11.988 -6.207 9.212
8.790 -7.105 9.892
12.756 -5.840 6.665
9.803 -4.042 10.638
```



Model B:
The following is a DFT calculation (PBE+U) of a geometry-optimized Mn2ZnO4 structure.

M_tot: 8.0 μB/f.u.

```
Mn2ZnO4
1.0
3.008 0.000 0.000
0.000 9.108 0.000
0.000 0.000 10.495
Mn Zn O
8 4 16
Cartesian
2.256 8.347 1.104
0.752 5.315 6.351
2.256 3.793 4.144
0.752 0.761 9.392
0.752 0.596 4.019
2.256 8.512 6.476
0.752 5.150 1.228
2.256 3.958 9.267
0.752 6.822 3.665
2.256 2.286 6.831
0.752 2.268 1.583
2.256 6.840 8.912
2.256 3.661 0.749
0.752 5.447 9.746
2.256 8.215 4.499
0.752 0.893 5.997
2.256 4.757 7.508
0.752 4.352 2.988
2.256 0.203 8.235
0.752 8.906 2.260
2.256 1.073 0.339
0.752 8.035 10.157
2.256 5.627 4.909
0.752 3.481 5.586
0.752 2.565 8.600
2.256 6.544 1.896
2.256 1.990 3.352
0.752 7.119 7.143
```



Model C:
The following is a DFT calculation (PBE+U) of a geometry-optimized Mn2ZnO4 structure.

M_tot: 8.0 μB/f.u.

```
Mn2ZnO4
1.0
2.179 5.318 -1.392
-0.573 -4.224 -4.498
-13.835 5.263 -1.773
Mn Zn O
12 6 24
Cartesian
-1.037 3.008 -2.725
-1.336 0.903 -4.973
-6.923 2.629 -0.923
-2.421 -1.751 -4.273
-7.193 0.499 -3.191
-9.049 2.988 -2.902
-3.811 0.971 -2.286
-11.159 3.337 -4.905
-6.105 3.162 -3.888
-10.917 5.473 -2.634
-9.823 8.135 -3.330
-11.768 6.632 -5.829
-0.472 -0.246 -1.759
-4.170 4.665 -1.408
-3.198 3.373 -4.802
-8.384 5.359 -5.382
-13.318 3.702 -6.925
-7.527 5.932 -1.814
-0.919 -0.600 -3.741
-2.828 -0.225 -5.584
-0.634 1.694 -1.329
0.347 4.198 -1.906
-4.565 4.308 -3.359
-2.409 1.824 -3.562
-6.525 4.657 -5.123
-1.441 4.303 -4.127
0.158 2.024 -4.385
-4.863 2.362 -5.494
-6.024 -0.506 -4.747
-1.727 2.407 -6.181
-10.462 3.954 -1.444
-6.277 6.914 -3.037
-7.471 3.979 -2.270
-12.425 4.297 -3.230
-5.719 1.694 -2.609
-10.656 2.007 -3.524
-9.660 4.391 -4.159
-7.670 2.031 -4.370
-12.621 2.261 -5.606
-11.604 4.675 -6.253
-9.398 6.632 -2.092
-11.332 6.978 -3.851
```



Computed energies relative to the best structure, in eV/atom: model A 0.042; model B 0.139; model C 0.000